Below is an optimized crystal structure of CaSnS3, with properties calculated at the PBE-GGA level.

Lattice parameters (Å, degrees): 5.2053 5.2053 5.2053 90.00 90.00 90.00
Sites, in units of the cell vectors:
Ca1 0.0000 0.0000 0.0000
Sn1 0.5000 0.5000 0.5000
S1 0.0000 0.0000 0.5000
S2 0.0000 0.5000 0.0000
S3 0.5000 0.0000 0.0000

Output
Total DFT energy (no corrections) = -18.83 eV for the cell shown
DFT formation energy = -37.0 kJ per mole of atoms
Space group = Pm-3m
Energy above the most stable polymorph in this dataset = 0.938 eV/atom
Magnetic moment = 0.4009 μB per atom